First-principles (PBE) data for La3AlO after structural relaxation, as listed in the Materials Project database.

Calculated values
The space group is Pm-3m, No. 221. The calculation puts the total energy at -6.04 eV per atom. The value obtained for the volume is 25.571 A^3/atom. For the theoretical density, the calculation gives 5.97 g cm⁻³.

Structure (CIF):
```
data_La3AlO
_chemical_formula_sum 'La3 Al1 O1'
_cell_length_a 5.038
_cell_length_b 5.038
_cell_length_c 5.038
_cell_angle_alpha 90.00
_cell_angle_beta 90.00
_cell_angle_gamma 90.00
_space_group_name_H-M_alt 'P 1'
_space_group_IT_number 1
_space_group_name_Hall 'P 1'
loop_
_atom_site_label
_atom_site_fract_x
_atom_site_fract_y
_atom_site_fract_z
La1 0.000 0.000 0.500
Al1 0.500 0.500 0.500
La2 0.500 0.000 0.000
O1 0.000 0.000 0.000
La3 0.000 0.500 0.000
```

First-principles (PBE) data for LaAlO3 after structural relaxation, as listed in the Materials Project database.

Calculated values
The space group is R-3c, No. 167. The calculation puts the total energy at -8.02 eV per atom. The value obtained for the volume is 11.149 A^3/atom. For the theoretical density, the calculation gives 6.37 g cm⁻³.

Structure (CIF):
```
data_LaAlO3
_chemical_formula_sum 'La2 Al2 O6'
_cell_length_a 5.393
_cell_length_b 5.393
_cell_length_c 5.393
_cell_angle_alpha 60.22
_cell_angle_beta 60.22
_cell_angle_gamma 60.22
_space_group_name_H-M_alt 'P 1'
_space_group_IT_number 1
_space_group_name_Hall 'P 1'
loop_
_atom_site_label
_atom_site_fract_x
_atom_site_fract_y
_atom_site_fract_z
O1 0.711 0.250 0.789
La1 0.250 0.250 0.250
O2 0.789 0.711 0.250
O3 0.250 0.789 0.711
O4 0.750 0.211 0.289
Al1 0.000 0.000 0.000
O5 0.289 0.750 0.211
Al2 0.500 0.500 0.500
La2 0.750 0.750 0.750
O6 0.211 0.289 0.750
```

First-principles (PBE) data for La4Al2O9 after structural relaxation, as listed in the Materials Project database.

Calculated values
The space group is P2_1/c, No. 14. The calculation puts the total energy at -8.16 eV per atom. The value obtained for the volume is 16.147 A^3/atom. The calculation puts the magnetization at 0.00 Bohr magnetons per cell. The calculation puts the energy relative to the lowest polymorph listed for this composition at 0.0000 eV/atom. For the theoretical density, the calculation gives 5.17 g cm⁻³.

Structure (CIF):
```
data_La4Al2O9
_chemical_formula_sum 'La16 Al8 O36'
_cell_length_a 11.136
_cell_length_b 7.952
_cell_length_c 11.604
_cell_angle_alpha 70.53
_cell_angle_beta 90.00
_cell_angle_gamma 90.00
_space_group_name_H-M_alt 'P 1'
_space_group_IT_number 1
_space_group_name_Hall 'P 1'
loop_
_atom_site_label
_atom_site_fract_x
_atom_site_fract_y
_atom_site_fract_z
La1 0.124 0.837 0.584
O1 0.767 0.920 0.984
O2 0.728 0.769 0.262
La2 0.588 0.974 0.310
La3 0.412 0.026 0.690
La4 0.376 0.837 0.084
La5 0.876 0.163 0.416
O3 0.733 0.920 0.484
O4 0.272 0.231 0.738
Al1 0.686 0.351 0.619
O5 0.507 0.432 0.896
Al2 0.814 0.351 0.119
O6 0.497 0.924 0.894
O7 0.034 0.217 0.836
Al3 0.312 0.225 0.371
La6 0.125 0.335 0.570
O8 0.729 0.361 0.469
La7 0.399 0.525 0.710
O9 0.997 0.076 0.606
O10 0.774 0.218 0.745
La8 0.625 0.665 0.930
O11 0.007 0.568 0.604
La9 0.899 0.475 0.790
Al4 0.188 0.225 0.871
O12 0.965 0.301 0.167
O13 0.236 0.434 0.883
O14 0.534 0.783 0.664
O15 0.465 0.699 0.333
La10 0.912 0.974 0.810
O16 0.226 0.782 0.255
La11 0.624 0.163 0.916
O17 0.736 0.566 0.617
La12 0.375 0.335 0.070
O18 0.271 0.639 0.531
O19 0.493 0.568 0.104
O20 0.772 0.769 0.762
O21 0.771 0.361 0.969
O22 0.535 0.301 0.667
La13 0.088 0.026 0.190
O23 0.264 0.434 0.383
O24 0.993 0.432 0.396
La14 0.875 0.665 0.430
O25 0.228 0.231 0.238
Al5 0.688 0.775 0.629
Al6 0.812 0.775 0.129
Al7 0.186 0.649 0.881
Al8 0.314 0.649 0.381
O26 0.764 0.566 0.117
O27 0.274 0.782 0.755
O28 0.233 0.080 0.016
La15 0.101 0.525 0.210
O29 0.466 0.217 0.336
O30 0.003 0.924 0.394
O31 0.726 0.218 0.245
O32 0.966 0.783 0.164
O33 0.503 0.076 0.106
La16 0.601 0.475 0.290
O34 0.035 0.699 0.833
O35 0.229 0.639 0.031
O36 0.267 0.080 0.516
```

First-principles (PBE) data for La4Al2O9 after structural relaxation, as listed in the Materials Project database.

Calculated values
The space group is P2_1/c, No. 14. The calculation puts the total energy at -8.16 eV per atom. The value obtained for the volume is 16.074 A^3/atom. The calculation puts the energy relative to the lowest polymorph listed for this composition at 0.0000 eV/atom. For the theoretical density, the calculation gives 5.19 g cm⁻³.

Structure (CIF):
```
data_La4Al2O9
_chemical_formula_sum 'La16 Al8 O36'
_cell_length_a 11.077
_cell_length_b 7.941
_cell_length_c 11.631
_cell_angle_alpha 70.50
_cell_angle_beta 90.00
_cell_angle_gamma 90.00
_space_group_name_H-M_alt 'P 1'
_space_group_IT_number 1
_space_group_name_Hall 'P 1'
loop_
_atom_site_label
_atom_site_fract_x
_atom_site_fract_y
_atom_site_fract_z
La1 0.130 0.090 0.566
La2 0.588 0.223 0.309
O1 0.501 0.313 0.106
O2 0.764 0.173 0.981
O3 0.264 0.827 0.519
La3 0.099 0.272 0.205
Al1 0.682 0.036 0.625
La4 0.401 0.272 0.705
O4 0.234 0.975 0.241
O5 0.499 0.687 0.894
O6 0.717 0.820 0.617
O7 0.764 0.615 0.972
O8 0.217 0.180 0.883
O9 0.038 0.470 0.830
O10 0.001 0.687 0.394
O11 0.474 0.940 0.351
O12 0.734 0.025 0.259
La5 0.912 0.223 0.809
O13 0.001 0.830 0.607
O14 0.283 0.180 0.383
O15 0.538 0.530 0.670
O16 0.026 0.940 0.851
O17 0.962 0.530 0.170
La6 0.370 0.090 0.066
Al2 0.182 0.964 0.875
La7 0.630 0.910 0.934
O18 0.780 0.477 0.747
O19 0.501 0.170 0.893
O20 0.736 0.173 0.481
La8 0.879 0.416 0.415
La9 0.870 0.910 0.434
O21 0.462 0.470 0.330
Al3 0.818 0.036 0.125
La10 0.412 0.777 0.691
O22 0.783 0.820 0.117
La11 0.379 0.584 0.085
O23 0.236 0.385 0.028
Al4 0.318 0.964 0.375
La12 0.121 0.584 0.585
O24 0.974 0.060 0.149
O25 0.236 0.827 0.019
Al5 0.187 0.402 0.879
O26 0.499 0.830 0.107
La13 0.599 0.728 0.295
O27 0.526 0.060 0.649
O28 0.720 0.477 0.247
O29 0.999 0.313 0.606
O30 0.266 0.975 0.741
O31 0.736 0.615 0.472
O32 0.999 0.170 0.393
La14 0.621 0.416 0.915
Al6 0.313 0.402 0.379
O33 0.766 0.025 0.759
O34 0.280 0.523 0.753
Al7 0.687 0.598 0.621
La15 0.088 0.777 0.191
Al8 0.813 0.598 0.121
O35 0.220 0.523 0.253
La16 0.901 0.728 0.795
O36 0.264 0.385 0.528
```

First-principles (PBE) data for LaAlO3 after structural relaxation, as listed in the Materials Project database.

Calculated values
The space group is P2_1/c, No. 14. The calculation puts the total energy at -7.96 eV per atom. The value obtained for the volume is 14.240 A^3/atom. The calculation puts the magnetization at 0.00 Bohr magnetons per cell. For the theoretical density, the calculation gives 4.99 g cm⁻³.

Structure (CIF):
```
data_LaAlO3
_chemical_formula_sum 'La8 Al8 O24'
_cell_length_a 6.054
_cell_length_b 7.664
_cell_length_c 13.574
_cell_angle_alpha 64.74
_cell_angle_beta 90.00
_cell_angle_gamma 90.00
_space_group_name_H-M_alt 'P 1'
_space_group_IT_number 1
_space_group_name_Hall 'P 1'
loop_
_atom_site_label
_atom_site_fract_x
_atom_site_fract_y
_atom_site_fract_z
La1 0.908 0.261 0.649
Al1 0.865 0.448 0.878
Al2 0.595 0.854 0.404
O1 0.614 0.395 0.952
O2 0.386 0.605 0.048
O3 0.859 0.959 0.399
O4 0.401 0.298 0.667
O5 0.581 0.694 0.544
O6 0.114 0.605 0.548
O7 0.864 0.999 0.156
La2 0.408 0.739 0.851
O8 0.099 0.298 0.167
O9 0.821 0.425 0.755
O10 0.141 0.041 0.601
O11 0.321 0.575 0.745
O12 0.636 0.999 0.656
O13 0.599 0.702 0.333
La3 0.592 0.261 0.149
Al3 0.405 0.146 0.596
O14 0.179 0.575 0.245
La4 0.092 0.739 0.351
O15 0.679 0.425 0.255
Al4 0.095 0.146 0.096
La5 0.105 0.225 0.369
Al5 0.635 0.448 0.378
O16 0.081 0.306 0.956
O17 0.136 0.001 0.844
La6 0.605 0.775 0.131
O18 0.419 0.306 0.456
O19 0.364 0.001 0.344
Al6 0.135 0.552 0.122
La7 0.895 0.775 0.631
O20 0.901 0.702 0.833
O21 0.886 0.395 0.452
O22 0.359 0.041 0.101
La8 0.395 0.225 0.869
Al7 0.365 0.552 0.622
O23 0.919 0.694 0.044
O24 0.641 0.959 0.899
Al8 0.905 0.854 0.904
```

First-principles (PBE) data for La4Al2O9 after structural relaxation, as listed in the Materials Project database.

Calculated values
The space group is P1, No. 1. The calculation puts the total energy at -7.99 eV per atom. The value obtained for the volume is 17.829 A^3/atom. The calculation puts the magnetization at 0.00 Bohr magnetons per cell. The calculation puts the energy relative to the lowest polymorph listed for this composition at 0.1750 eV/atom. For the theoretical density, the calculation gives 4.68 g cm⁻³.

Structure (CIF):
```
data_La4Al2O9
_chemical_formula_sum 'La4 Al2 O9'
_cell_length_a 5.589
_cell_length_b 6.420
_cell_length_c 7.479
_cell_angle_alpha 88.66
_cell_angle_beta 94.41
_cell_angle_gamma 91.01
_space_group_name_H-M_alt 'P 1'
_space_group_IT_number 1
_space_group_name_Hall 'P 1'
loop_
_atom_site_label
_atom_site_fract_x
_atom_site_fract_y
_atom_site_fract_z
O1 0.441 0.410 0.139
O2 0.127 0.204 0.857
O3 0.349 0.978 0.174
Al1 0.225 0.340 0.660
La1 0.730 0.415 0.872
O4 0.435 0.151 0.609
O5 0.944 0.876 0.436
O6 0.394 0.572 0.700
O7 0.942 0.391 0.555
Al2 0.221 0.212 0.089
O8 0.942 0.706 0.939
La2 0.156 0.860 0.707
La3 0.692 0.163 0.367
La4 0.129 0.673 0.227
O9 0.950 0.314 0.158
```

First-principles (PBE) data for La2Al4O9 after structural relaxation, as listed in the Materials Project database.

Calculated values
The space group is Pbam, No. 55. The calculation puts the total energy at -7.76 eV per atom. The value obtained for the volume is 12.396 A^3/atom. The calculation puts the magnetization at 0.00 Bohr magnetons per cell. For the theoretical density, the calculation gives 4.73 g cm⁻³.

Structure (CIF):
```
data_La2Al4O9
_chemical_formula_sum 'La4 Al8 O18'
_cell_length_a 5.724
_cell_length_b 7.671
_cell_length_c 8.470
_cell_angle_alpha 90.00
_cell_angle_beta 90.00
_cell_angle_gamma 90.00
_space_group_name_H-M_alt 'P 1'
_space_group_IT_number 1
_space_group_name_Hall 'P 1'
loop_
_atom_site_label
_atom_site_fract_x
_atom_site_fract_y
_atom_site_fract_z
Al1 0.500 0.142 0.839
La1 0.000 0.349 0.678
O1 0.500 0.000 0.000
O2 0.751 0.896 0.281
O3 0.000 0.154 0.449
O4 0.500 0.147 0.427
Al2 0.500 0.642 0.661
Al3 0.500 0.858 0.161
Al4 0.741 0.000 0.500
O5 0.751 0.396 0.219
Al5 0.500 0.358 0.339
O6 0.500 0.500 0.500
Al6 0.259 0.000 0.500
La2 0.000 0.151 0.178
La3 0.000 0.849 0.822
O7 0.751 0.604 0.781
O8 0.249 0.604 0.781
O9 0.500 0.853 0.573
O10 0.500 0.647 0.073
O11 0.751 0.104 0.719
O12 0.500 0.353 0.927
La4 0.000 0.651 0.322
O13 0.000 0.654 0.051
Al7 0.259 0.500 0.000
O14 0.000 0.346 0.949
O15 0.000 0.846 0.551
O16 0.249 0.104 0.719
O17 0.249 0.896 0.281
O18 0.249 0.396 0.219
Al8 0.741 0.500 0.000
```

First-principles (PBE) data for LaAlS3O12 after structural relaxation, as listed in the Materials Project database.

Calculated values
The space group is P321, No. 150. The calculation puts the total energy at -6.69 eV per atom. The value obtained for the volume is 15.585 A^3/atom. The calculation puts the magnetization at 0.00 Bohr magnetons per cell. For the theoretical density, the calculation gives 2.85 g cm⁻³.

Structure (CIF):
```
data_LaAlS3O12
_chemical_formula_sum 'La6 Al6 S18 O72'
_cell_length_a 8.826
_cell_length_b 8.826
_cell_length_c 23.564
_cell_angle_alpha 90.00
_cell_angle_beta 90.00
_cell_angle_gamma 120.00
_space_group_name_H-M_alt 'P 1'
_space_group_IT_number 1
_space_group_name_Hall 'P 1'
loop_
_atom_site_label
_atom_site_fract_x
_atom_site_fract_y
_atom_site_fract_z
S1 0.658 0.992 0.417
O1 0.818 0.826 0.198
S2 0.630 0.667 0.917
O2 0.361 0.894 0.580
O3 0.249 0.191 0.792
O4 0.205 0.047 0.300
O5 0.858 0.582 0.042
S3 0.287 0.024 0.247
O6 0.203 0.051 0.594
Al1 0.000 0.000 0.154
O7 0.418 0.276 0.042
Al2 0.667 0.333 0.484
O8 0.318 0.452 0.738
O9 0.381 0.464 0.368
Al3 0.667 0.333 0.680
O10 0.007 0.182 0.198
O11 0.106 0.466 0.580
La1 0.000 0.000 0.845
O12 0.659 0.507 0.636
O13 0.493 0.152 0.636
S4 0.694 0.054 0.098
O14 0.136 0.461 0.969
O15 0.491 0.136 0.918
O16 0.561 0.694 0.253
Al4 0.000 0.000 0.349
La2 0.333 0.667 0.033
S5 0.380 0.070 0.586
O17 0.539 0.675 0.969
S6 0.333 0.963 0.917
O18 0.285 0.416 0.466
O19 0.717 0.537 0.239
S7 0.008 0.667 0.417
S8 0.333 0.342 0.417
S9 0.946 0.640 0.098
O20 0.819 0.283 0.239
S10 0.976 0.263 0.247
O21 0.809 0.058 0.792
O22 0.953 0.158 0.300
O23 0.536 0.917 0.368
O24 0.325 0.864 0.969
La3 0.333 0.667 0.312
O25 0.822 0.519 0.726
O26 0.481 0.303 0.726
O27 0.349 0.467 0.096
O28 0.848 0.341 0.636
S11 0.720 0.027 0.736
O29 0.490 0.332 0.142
O30 0.824 0.001 0.691
S12 0.037 0.370 0.917
O31 0.306 0.867 0.253
O32 0.534 0.639 0.580
O33 0.803 0.825 0.916
O34 0.864 0.355 0.918
O35 0.842 0.795 0.300
O36 0.131 0.715 0.466
S13 0.307 0.280 0.736
O37 0.668 0.158 0.142
O38 0.462 0.175 0.534
S14 0.930 0.310 0.586
O39 0.678 0.164 0.433
O40 0.118 0.651 0.096
O41 0.341 0.872 0.865
O42 0.724 0.142 0.042
S15 0.737 0.713 0.247
O43 0.181 0.169 0.401
O44 0.175 0.979 0.916
La4 0.333 0.667 0.521
O45 0.697 0.178 0.726
O46 0.174 0.993 0.198
O47 0.714 0.538 0.534
S16 0.973 0.693 0.736
O48 0.134 0.682 0.738
O49 0.845 0.030 0.107
Al5 0.000 0.000 0.643
O50 0.548 0.866 0.738
O51 0.842 0.510 0.142
O52 0.831 0.011 0.401
O53 0.185 0.155 0.107
Al6 0.667 0.333 0.190
O54 0.177 0.176 0.691
O55 0.836 0.514 0.433
O56 0.949 0.152 0.594
O57 0.128 0.469 0.865
S17 0.360 0.306 0.098
La5 0.333 0.667 0.801
O58 0.486 0.322 0.433
O59 0.970 0.815 0.107
O60 0.531 0.659 0.865
O61 0.848 0.797 0.594
S18 0.690 0.620 0.586
O62 0.133 0.439 0.253
O63 0.645 0.509 0.918
O64 0.083 0.619 0.368
O65 0.825 0.286 0.534
O66 0.999 0.823 0.691
O67 0.584 0.869 0.466
O68 0.021 0.197 0.916
O69 0.942 0.751 0.792
O70 0.533 0.882 0.096
O71 0.463 0.181 0.239
O72 0.989 0.819 0.401
La6 0.667 0.333 0.988
```

Number 1: energy with MP2020 corrections -0.2269 hartree per atom. Number 2: energy with MP2020 corrections -0.3097 hartree per atom. Number 3: energy with MP2020 corrections -0.3151 hartree per atom. Number 4: energy with MP2020 corrections -0.3151 hartree per atom. Number 5: energy with MP2020 corrections -0.3076 hartree per atom. Number 6: energy with MP2020 corrections -0.3087 hartree per atom. Number 7: energy with MP2020 corrections -0.3003 hartree per atom. Number 8: energy with MP2020 corrections -0.2638 hartree per atom.